# 1
A plane-wave DFT calculation with PBE+U was carried out for Li4Mn3FeB4O12 after structural relaxation.

Structure (POSCAR):
```
Li4Mn3FeB4O12
1.0
5.2428 0.0000 0.0000
-0.0776 6.0526 0.0000
-0.1156 -1.9253 8.0517
Li Mn Fe B O
4 3 1 4 12
Direct
0.6506 0.9529 0.2836
0.8479 0.5469 0.2194
0.1498 0.4544 0.7814
0.3496 0.0468 0.7175
0.6677 0.6865 0.9180
0.3327 0.3140 0.0795
0.1658 0.1868 0.4201
0.8395 0.8163 0.5819
0.1692 0.8332 0.0963
0.3302 0.6655 0.4061
0.6697 0.3347 0.5952
0.8312 0.1653 0.9016
0.9095 0.8253 0.1230
0.6821 0.9848 0.8068
0.2075 0.8373 0.5194
0.5893 0.6778 0.3829
0.1819 0.4857 0.3109
0.7139 0.3384 0.0155
0.2866 0.6591 0.9833
0.8197 0.5163 0.6864
0.4103 0.3261 0.6231
0.7858 0.1590 0.4832
0.3190 0.0139 0.1890
0.0907 0.1733 0.8760
```

Summary:
The value obtained for the energy relative to the lowest polymorph listed for this composition is 0.040 eV per formula unit. For the final energy, the calculation gives -7.219 eV per atom. The calculated volume comes out at 10.6 Å³/atom. As for the energy of formation from the pure elements: -2.46 eV/atom. The spin magnetization comes out at 19.0 μB/cell.


# 2
A plane-wave DFT calculation with PBE+U was carried out for Li8MnFe7B8O24 after structural relaxation.

Structure (POSCAR):
```
Li8MnFe7B8O24
1.0
5.2319 0.0000 0.0000
0.1134 6.0269 0.0000
0.1319 2.3810 15.9149
Li Mn Fe B O
8 1 7 8 24
Direct
0.8477 0.0661 0.3890
0.1512 0.4357 0.1110
0.6532 0.1826 0.8610
0.3490 0.3163 0.6393
0.6523 0.6871 0.3586
0.3486 0.8132 0.1412
0.8492 0.5640 0.8912
0.1498 0.9343 0.6091
0.1684 0.0271 0.7899
0.6627 0.2774 0.0402
0.3377 0.2222 0.4599
0.1640 0.5228 0.2927
0.8211 0.4747 0.7103
0.6735 0.7754 0.5389
0.8370 0.9768 0.2074
0.3243 0.7224 0.9615
0.3289 0.0388 0.2969
0.8301 0.2875 0.5463
0.6709 0.4617 0.2030
0.1728 0.2125 0.9544
0.8275 0.7869 0.0466
0.3296 0.5350 0.7967
0.1735 0.7128 0.4535
0.6685 0.9649 0.7019
0.5899 0.0130 0.3082
0.1834 0.1689 0.3456
0.7059 0.1745 0.4888
0.2941 0.3275 0.0115
0.7863 0.0807 0.7595
0.8164 0.3309 0.1544
0.3199 0.0805 0.9072
0.0901 0.2621 0.5571
0.4101 0.4873 0.1917
0.9126 0.2366 0.9425
0.6871 0.4202 0.5946
0.2056 0.4219 0.7400
0.7952 0.5749 0.2600
0.3159 0.5811 0.4046
0.0894 0.7647 0.0583
0.5899 0.5128 0.8086
0.9124 0.7367 0.4423
0.6845 0.9188 0.0951
0.1866 0.6670 0.8459
0.2047 0.9256 0.2396
0.7066 0.6721 0.9901
0.2959 0.8259 0.5103
0.8166 0.8303 0.6552
0.4090 0.9877 0.6883
```

Summary:
The value obtained for the energy relative to the lowest polymorph listed for this composition is 0.219 eV per formula unit. For the final energy, the calculation gives -6.974 eV per atom. The calculated volume comes out at 10.5 Å³/atom. As for the energy of formation from the pure elements: -2.35 eV/atom. The spin magnetization comes out at 33.0 μB/cell.


# 3
A plane-wave DFT calculation with PBE+U was carried out for Li4Mn3FeB4O12 after structural relaxation.

Structure (POSCAR):
```
Li4Mn3FeB4O12
1.0
-4.2530 2.4559 -1.8368
0.0291 -6.1722 -0.8916
-2.7199 1.2447 8.5435
Li Mn Fe B O
4 3 1 4 12
Direct
0.5124 0.3276 0.8834
0.0139 0.3292 0.3820
0.9860 0.6718 0.6175
0.4853 0.6704 0.1185
0.5501 0.7658 0.8027
0.9497 0.2343 0.6969
0.0509 0.7698 0.3027
0.4572 0.2350 0.1985
0.0392 0.7396 0.9656
0.4630 0.2636 0.5335
0.5375 0.7365 0.4643
0.9598 0.2595 0.0357
0.7615 0.7025 0.9751
0.1236 0.6760 0.8215
0.7693 0.1745 0.8982
0.3756 0.3229 0.6771
0.7391 0.2971 0.5246
0.2707 0.1780 0.3961
0.7322 0.8257 0.6009
0.2608 0.7024 0.4738
0.6235 0.6747 0.3209
0.2345 0.8295 0.1018
0.8670 0.3182 0.1782
0.2369 0.2954 0.0305
```

Summary:
The value obtained for the energy relative to the lowest polymorph listed for this composition is 0.041 eV per formula unit. For the final energy, the calculation gives -7.219 eV per atom. The calculated volume comes out at 10.7 Å³/atom. As for the energy of formation from the pure elements: -2.46 eV/atom. The spin magnetization comes out at 19.0 μB/cell.


# 4
A plane-wave DFT calculation with PBE+U was carried out for Li8MnFe7B8O24 after structural relaxation.

Structure (POSCAR):
```
Li8MnFe7B8O24
1.0
-0.6226 5.9818 0.3812
-5.4628 0.8699 7.9868
4.9552 1.7501 8.1778
Li Mn Fe B O
8 1 7 8 24
Direct
0.0446 0.4659 0.8150
0.0449 0.9668 0.3145
0.4552 0.0336 0.1844
0.5443 0.4663 0.3154
0.4534 0.5326 0.6845
0.5452 0.9669 0.8169
0.9552 0.0353 0.6850
0.9542 0.5333 0.1847
0.8143 0.7942 0.6251
0.1838 0.2097 0.3749
0.3152 0.2925 0.6283
0.3151 0.7932 0.1222
0.1875 0.7047 0.8725
0.8164 0.2897 0.1275
0.6848 0.2097 0.8723
0.6811 0.7090 0.3708
0.3358 0.3671 0.0384
0.1649 0.1321 0.9625
0.1663 0.6322 0.4600
0.3333 0.8679 0.5374
0.6632 0.1336 0.4628
0.8351 0.3684 0.5371
0.8355 0.8680 0.0372
0.6680 0.6299 0.9649
0.1782 0.0129 0.1044
0.0168 0.2470 0.5619
0.0160 0.7470 0.0625
0.1638 0.3614 0.1566
0.1769 0.5131 0.6030
0.5165 0.2458 0.0622
0.1639 0.8633 0.6578
0.3357 0.1380 0.8430
0.3407 0.6379 0.3434
0.4824 0.2546 0.4367
0.3233 0.4868 0.8966
0.3210 0.9873 0.3956
0.6766 0.0165 0.6060
0.6763 0.5115 0.1067
0.5128 0.7457 0.5615
0.6640 0.3621 0.6569
0.6626 0.8623 0.1559
0.8349 0.1372 0.3443
0.4862 0.7519 0.9388
0.8219 0.4865 0.3961
0.8409 0.6347 0.8474
0.9840 0.2534 0.9385
0.9851 0.7530 0.4340
0.8225 0.9876 0.8959
```

Summary:
The value obtained for the energy relative to the lowest polymorph listed for this composition is 0.280 eV per formula unit. For the final energy, the calculation gives -6.972 eV per atom. The calculated volume comes out at 10.5 Å³/atom. As for the energy of formation from the pure elements: -2.35 eV/atom. The spin magnetization comes out at 33.0 μB/cell.